Here is a geometry-optimized Na4P2NO16 structure from the Materials Project database. Energies are from GGA-PBE.

Computed properties:
**Energy with MP2020 corrections**: -512.6 eV for the cell shown
**Total magnetization**: 28.00 μB/cell
**Calculated volume**: 16.625 Å³ per atom

CIF file:
```
data_Na4P2NO16
_symmetry_space_group_name_H-M 'C 1 2/c 1'
_symmetry_Int_Tables_number 15
_cell_length_a 23.684
_cell_length_b 5.194
_cell_length_c 16.309
_cell_angle_alpha 90.00
_cell_angle_beta 130.33
_cell_angle_gamma 90.00
loop_
_symmetry_equiv_pos_as_xyz
'x,y,z'
'-x,-y,-z'
'-x,y,-z+1/2'
'x,-y,z+1/2'
'x+1/2,y+1/2,z'
'-x+1/2,-y+1/2,-z'
'-x+1/2,y+1/2,-z+1/2'
'x+1/2,-y+1/2,z+1/2'
loop_
_atom_site_label
_atom_site_type_symbol
_atom_site_fract_x
_atom_site_fract_y
_atom_site_fract_z
Na1 Na 0.065 0.228 0.239
Na2 Na 0.147 0.244 0.538
P1 P 0.074 0.301 0.863
N1 N 0.000 0.154 0.750
O1 O 0.030 0.468 0.544
O2 O 0.062 0.414 0.369
O3 O 0.103 0.245 0.801
O4 O 0.107 0.152 0.964
O5 O 0.137 0.058 0.175
O6 O 0.200 0.036 0.719
O7 O 0.228 0.164 0.413
O8 O 0.236 0.019 0.482
```

---

Here is a geometry-optimized SnS16I4 structure from the Materials Project database. Energies are from GGA-PBE.

Computed properties:
**Energy with MP2020 corrections**: -675.2 eV for the cell shown
**Total magnetization**: 0.01 μB/cell
**Calculated volume**: 44.243 Å³ per atom

CIF file:
```
data_SnS16I4
_symmetry_space_group_name_H-M 'F d d 2'
_symmetry_Int_Tables_number 43
_symmetry_space_group_name_Hall 'F 2 -2d'
_cell_length_a 19.435
_cell_length_b 21.791
_cell_length_c 17.551
_cell_angle_alpha 90.00
_cell_angle_beta 90.00
_cell_angle_gamma 90.00
loop_
_atom_site_label
_atom_site_type_symbol
_atom_site_fract_x
_atom_site_fract_y
_atom_site_fract_z
Sn1 Sn 0.000 0.000 0.000
S1 S 0.017 0.042 0.422
S2 S 0.035 0.215 0.600
S3 S 0.046 0.149 0.688
S4 S 0.048 0.383 0.207
S5 S 0.048 0.412 0.821
S6 S 0.078 0.464 0.138
S7 S 0.086 0.240 0.934
S8 S 0.114 0.475 0.795
I1 I 0.012 0.101 0.090
I2 I 0.107 0.481 0.404
```

---

Here is a geometry-optimized Re3Se4O9 structure from the Materials Project database. Energies are from GGA-PBE.

Computed properties:
**Energy with MP2020 corrections**: -612.7 eV for the cell shown
**Total magnetization**: 1.70 μB/cell
**Calculated volume**: 23.821 Å³ per atom

CIF file:
```
data_Re3Se4O9
_symmetry_space_group_name_H-M 'R -3 m'
_symmetry_Int_Tables_number 166
_symmetry_space_group_name_Hall '-R 3 2"'
_cell_length_a 16.0519
_cell_length_b 16.0519
_cell_length_c 10.2481
_cell_angle_alpha 90.00
_cell_angle_beta 90.00
_cell_angle_gamma 120.00
loop_
_atom_site_label
_atom_site_type_symbol
_atom_site_fract_x
_atom_site_fract_y
_atom_site_fract_z
Re1 Re 0.0769 0.1538 0.3491
Se1 Se 0.0000 0.0000 0.2184
Se2 Se 0.0965 0.1931 0.5908
O1 O 0.0322 0.4538 0.5421
O2 O 0.0835 0.5418 0.9133
```

---

Here is a geometry-optimized Bi structure from the Materials Project database. Energies are from GGA-PBE.

Computed properties:
**Total magnetization**: 0.26 μB/cell
**Calculated volume**: 56.584 Å³ per atom

CIF file:
```
data_Bi
_symmetry_space_group_name_H-M 'P m m a'
_symmetry_Int_Tables_number 51
_cell_length_a 5.968
_cell_length_b 5.870
_cell_length_c 3.231
_cell_angle_alpha 90.00
_cell_angle_beta 90.00
_cell_angle_gamma 90.00
loop_
_symmetry_equiv_pos_as_xyz
'x,y,z'
'-x,-y,-z'
'-x+1/2,-y,z'
'x+1/2,y,-z'
'x+1/2,-y,-z'
'-x+1/2,y,z'
'-x,y,-z'
'x,-y,z'
loop_
_atom_site_label
_atom_site_type_symbol
_atom_site_fract_x
_atom_site_fract_y
_atom_site_fract_z
Bi1 Bi 0.250 0.000 0.120
```

---

Here is a geometry-optimized LiMg6BO8 structure from the Materials Project database. Energies are from GGA-PBE.

Computed properties:
**Energy with MP2020 corrections**: -99.8 eV for the cell shown
**Total magnetization**: 0.00 μB/cell
**Calculated volume**: 9.163 Å³ per atom

CIF file:
```
data_LiMg6BO8
_symmetry_space_group_name_H-M 'P 4/m m m'
_symmetry_Int_Tables_number 123
_symmetry_space_group_name_Hall '-P 4 2'
_cell_length_a 4.193
_cell_length_b 4.193
_cell_length_c 8.340
_cell_angle_alpha 90.00
_cell_angle_beta 90.00
_cell_angle_gamma 90.00
loop_
_atom_site_label
_atom_site_type_symbol
_atom_site_fract_x
_atom_site_fract_y
_atom_site_fract_z
Li1 Li 0.000 0.000 0.000
Mg1 Mg 0.000 0.000 0.500
Mg2 Mg 0.000 0.500 0.228
Mg3 Mg 0.500 0.500 0.500
B1 B 0.500 0.500 0.000
O1 O 0.000 0.000 0.258
O2 O 0.000 0.500 0.000
O3 O 0.000 0.500 0.500
O4 O 0.500 0.500 0.184
```

---

Here is a geometry-optimized MgNb3SiO10 structure from the Materials Project database. Energies are from GGA-PBE.

Computed properties:
**Energy with MP2020 corrections**: -130.6 eV for the cell shown
**Total magnetization**: 0.99 μB/cell
**Calculated volume**: 11.314 Å³ per atom

CIF file:
```
data_MgNb3SiO10
_symmetry_space_group_name_H-M 'P 1'
_symmetry_Int_Tables_number 1
_cell_length_a 4.900
_cell_length_b 5.519
_cell_length_c 6.825
_cell_angle_alpha 101.49
_cell_angle_beta 109.47
_cell_angle_gamma 91.22
loop_
_symmetry_equiv_pos_as_xyz
'x,y,z'
loop_
_atom_site_label
_atom_site_type_symbol
_atom_site_fract_x
_atom_site_fract_y
_atom_site_fract_z
Mg1 Mg 0.000 0.000 0.000
Nb1 Nb 0.203 0.450 0.378
Nb2 Nb 0.670 0.925 0.343
Nb3 Nb 0.889 0.394 0.786
Si1 Si 0.391 0.883 0.769
O1 O 0.069 0.030 0.705
O2 O 0.161 0.402 0.076
O3 O 0.183 0.569 0.688
O4 O 0.401 0.902 0.055
O5 O 0.428 0.805 0.508
O6 O 0.587 0.291 0.484
O7 O 0.633 0.146 0.852
O8 O 0.724 0.692 0.856
O9 O 0.846 0.634 0.306
O10 O 0.979 0.118 0.297
```

---

| no. | energy of formation from the pure elements (meV per atom) |
| --- | --- |
| 1 | -1067 |
| 2 | -386 |
| 3 | -392 |
| 4 | 599 |
| 5 | -2627 |
| 6 | -2922 |